Si | PBE-GGA | relaxed

Cell: 17.6455 17.6455 17.6455 Å, 90.00 90.00 90.00°
Closest atoms and distances in Å follow each position.
Fractional coordinates of all 232 atoms:
Si: 0.5958 0.1059 0.1843  4 Si 2.33-2.38
Si: 0.3897 0.7365 0.2863  4 Si 2.37-2.39
Si: 0.7316 0.0185 0.5832  4 Si 2.37-2.45
Si: 0.8897 0.7365 0.2137  4 Si 2.37-2.39
Si: 0.0958 0.1059 0.3157  4 Si 2.33-2.38
Si: 0.0268 0.1974 0.7033  4 Si 2.37-2.45
Si: 0.6843 0.5958 0.3941  4 Si 2.33-2.38
Si: 0.5268 0.3026 0.2967  4 Si 2.37-2.45
Si: 0.0842 0.8958 0.0266  4 Si 2.38-2.41
Si: 0.5626 0.9554 0.8937  4 Si 2.32-2.33
Si: 0.4158 0.3958 0.0266  4 Si 2.38-2.41
Si: 0.7684 0.5185 0.5832  4 Si 2.37-2.45
Si: 0.2660 0.7340 0.2340  4 Si 2.33-2.37
Si: 0.4734 0.9158 0.3958  4 Si 2.38-2.41
Si: 0.1081 0.1924 0.9016  4 Si 2.37-2.40
Si: 0.6974 0.7967 0.9732  4 Si 2.37-2.45
Si: 0.4732 0.6974 0.7033  4 Si 2.37-2.45
Si: 0.1897 0.8103 0.3103  4 Si 2.33-2.38
Si: 0.7635 0.7137 0.8897  4 Si 2.37-2.39
Si: 0.2625 0.8459 0.4181  4 Si 2.38-2.40
Si: 0.7713 0.9868 0.4589  4 Si 2.33-2.37
Si: 0.3897 0.7635 0.7863  4 Si 2.37-2.39
Si: 0.0132 0.9589 0.7287  4 Si 2.33-2.37
Si: 0.9554 0.8937 0.5626  4 Si 2.32-2.33
Si: 0.2375 0.3459 0.4181  4 Si 2.38-2.40
Si: 0.0446 0.1063 0.4374  4 Si 2.32-2.33
Si: 0.9042 0.8941 0.6843  4 Si 2.33-2.38
Si: 0.7137 0.8897 0.7635  4 Si 2.37-2.39
Si: 0.4554 0.6063 0.4374  4 Si 2.32-2.33
Si: 0.0411 0.2713 0.9868  4 Si 2.33-2.37
Si: 0.1924 0.9016 0.1081  4 Si 2.37-2.40
Si: 0.8459 0.4181 0.2625  4 Si 2.38-2.40
Si: 0.9016 0.1081 0.1924  4 Si 2.37-2.40
Si: 0.4734 0.5842 0.8958  4 Si 2.38-2.41
Si: 0.8919 0.6924 0.5984  4 Si 2.37-2.40
Si: 0.2713 0.5132 0.5411  4 Si 2.33-2.37
Si: 0.8076 0.4016 0.3919  4 Si 2.37-2.40
Si: 0.5185 0.5832 0.7684  4 Si 2.37-2.45
Si: 0.0446 0.3937 0.9374  4 Si 2.32-2.33
Si: 0.5132 0.9589 0.7713  4 Si 2.33-2.37
Si: 0.1924 0.5984 0.6081  4 Si 2.37-2.40
Si: 0.7340 0.2340 0.2660  4 Si 2.33-2.37
Si: 0.2316 0.0185 0.9168  4 Si 2.37-2.45
Si: 0.3937 0.5626 0.5446  4 Si 2.32-2.33
Si: 0.8897 0.7635 0.7137  4 Si 2.37-2.39
Si: 0.5626 0.5446 0.3937  4 Si 2.32-2.33
Si: 0.7625 0.8459 0.0819  4 Si 2.38-2.40
Si: 0.0832 0.7316 0.4815  4 Si 2.37-2.45
Si: 0.4016 0.3919 0.8076  4 Si 2.37-2.40
Si: 0.6103 0.2635 0.7137  4 Si 2.37-2.39
Si: 0.5832 0.7684 0.5185  4 Si 2.37-2.45
Si: 0.4554 0.8937 0.9374  4 Si 2.32-2.33
Si: 0.6063 0.4374 0.4554  4 Si 2.32-2.33
Si: 0.9868 0.4589 0.7713  4 Si 2.33-2.37
Si: 0.7635 0.7863 0.3897  4 Si 2.37-2.39
Si: 0.7287 0.0132 0.9589  4 Si 2.33-2.37
Si: 0.2287 0.4868 0.0411  4 Si 2.33-2.37
Si: 0.4732 0.8026 0.2033  4 Si 2.37-2.45
Si: 0.1042 0.5266 0.4158  4 Si 2.38-2.41
Si: 0.4868 0.0411 0.2287  4 Si 2.33-2.37
Si: 0.9181 0.2375 0.1541  4 Si 2.38-2.40
Si: 0.2287 0.0132 0.5411  4 Si 2.33-2.37
Si: 0.3157 0.4042 0.6059  4 Si 2.33-2.38
Si: 0.2137 0.8897 0.7365  4 Si 2.37-2.39
Si: 0.9168 0.2684 0.5185  4 Si 2.37-2.45
Si: 0.9168 0.2316 0.0185  4 Si 2.37-2.45
Si: 0.4158 0.1042 0.5266  4 Si 2.38-2.41
Si: 0.7863 0.3897 0.7635  4 Si 2.37-2.39
Si: 0.8937 0.5626 0.9554  4 Si 2.32-2.33
Si: 0.5842 0.8958 0.4734  4 Si 2.38-2.41
Si: 0.8076 0.0984 0.8919  4 Si 2.37-2.40
Si: 0.1103 0.2365 0.2863  4 Si 2.37-2.39
Si: 0.9158 0.1042 0.9734  4 Si 2.38-2.41
Si: 0.3958 0.4734 0.9158  4 Si 2.38-2.41
Si: 0.8157 0.0958 0.3941  4 Si 2.33-2.38
Si: 0.1059 0.3157 0.0958  4 Si 2.33-2.38
Si: 0.5266 0.4158 0.1042  4 Si 2.38-2.41
Si: 0.0411 0.2287 0.4868  4 Si 2.33-2.37
Si: 0.5984 0.6081 0.1924  4 Si 2.37-2.40
Si: 0.7863 0.1103 0.2635  4 Si 2.37-2.39
Si: 0.6541 0.5819 0.7625  4 Si 2.38-2.40
Si: 0.9374 0.4554 0.8937  4 Si 2.32-2.33
Si: 0.2684 0.9815 0.4168  4 Si 2.37-2.45
Si: 0.8026 0.2967 0.9732  4 Si 2.37-2.45
Si: 0.7137 0.6103 0.2635  4 Si 2.37-2.39
Si: 0.6081 0.1924 0.5984  4 Si 2.37-2.40
Si: 0.0819 0.7625 0.8459  4 Si 2.38-2.40
Si: 0.0984 0.6081 0.3076  4 Si 2.37-2.40
Si: 0.0984 0.8919 0.8076  4 Si 2.37-2.40
Si: 0.3941 0.6843 0.5958  4 Si 2.33-2.38
Si: 0.5958 0.3941 0.6843  4 Si 2.33-2.38
Si: 0.4181 0.2625 0.8459  4 Si 2.38-2.40
Si: 0.9868 0.0411 0.2713  4 Si 2.33-2.37
Si: 0.8103 0.3103 0.1897  4 Si 2.33-2.38
Si: 0.3026 0.2033 0.0268  4 Si 2.37-2.45
Si: 0.4042 0.6059 0.3157  4 Si 2.33-2.38
Si: 0.7316 0.4815 0.0832  4 Si 2.37-2.45
Si: 0.0819 0.7375 0.3459  4 Si 2.38-2.40
Si: 0.7375 0.1541 0.5819  4 Si 2.38-2.40
Si: 0.3459 0.4181 0.2375  4 Si 2.38-2.40
Si: 0.4815 0.4168 0.2316  4 Si 2.37-2.45
Si: 0.0266 0.4158 0.3958  4 Si 2.38-2.41
Si: 0.1042 0.9734 0.9158  4 Si 2.38-2.41
Si: 0.6541 0.9181 0.2625  4 Si 2.38-2.40
Si: 0.7625 0.6541 0.5819  4 Si 2.38-2.40
Si: 0.0626 0.5446 0.1063  4 Si 2.32-2.33
Si: 0.2863 0.1103 0.2365  4 Si 2.37-2.39
Si: 0.9589 0.7713 0.5132  4 Si 2.33-2.37
Si: 0.6081 0.3076 0.0984  4 Si 2.37-2.40
Si: 0.6924 0.9016 0.3919  4 Si 2.37-2.40
Si: 0.1541 0.9181 0.2375  4 Si 2.38-2.40
Si: 0.2365 0.2137 0.6103  4 Si 2.37-2.39
Si: 0.7375 0.3459 0.0819  4 Si 2.38-2.40
Si: 0.2316 0.4815 0.4168  4 Si 2.37-2.45
Si: 0.6042 0.9734 0.5842  4 Si 2.38-2.41
Si: 0.9042 0.6059 0.1843  4 Si 2.33-2.38
Si: 0.5411 0.2713 0.5132  4 Si 2.33-2.37
Si: 0.7033 0.4732 0.6974  4 Si 2.37-2.45
Si: 0.5411 0.2287 0.0132  4 Si 2.33-2.37
Si: 0.8941 0.6843 0.9042  4 Si 2.33-2.38
Si: 0.7365 0.2137 0.8897  4 Si 2.37-2.39
Si: 0.7340 0.2660 0.7660  4 Si 2.33-2.37
Si: 0.5132 0.5411 0.2713  4 Si 2.33-2.37
Si: 0.2340 0.2340 0.2340  4 Si 2.33-2.37
Si: 0.7967 0.5268 0.1974  4 Si 2.37-2.45
Si: 0.0958 0.3941 0.8157  4 Si 2.33-2.38
Si: 0.6103 0.2365 0.2137  4 Si 2.37-2.39
Si: 0.9732 0.6974 0.7967  4 Si 2.37-2.45
Si: 0.2365 0.2863 0.1103  4 Si 2.37-2.39
Si: 0.3103 0.1897 0.8103  4 Si 2.33-2.38
Si: 0.5984 0.8919 0.6924  4 Si 2.37-2.40
Si: 0.6897 0.6897 0.6897  4 Si 2.33-2.38
Si: 0.1974 0.7033 0.0268  4 Si 2.37-2.45
Si: 0.4589 0.7287 0.4868  4 Si 2.33-2.37
Si: 0.6924 0.5984 0.8919  4 Si 2.37-2.40
Si: 0.2967 0.9732 0.8026  4 Si 2.37-2.45
Si: 0.6059 0.3157 0.4042  4 Si 2.33-2.38
Si: 0.1897 0.6897 0.8103  4 Si 2.33-2.38
Si: 0.1081 0.3076 0.4016  4 Si 2.37-2.40
Si: 0.3919 0.6924 0.9016  4 Si 2.37-2.40
Si: 0.5446 0.1063 0.0626  4 Si 2.32-2.33
Si: 0.2660 0.7660 0.7340  4 Si 2.33-2.37
Si: 0.3076 0.4016 0.1081  4 Si 2.37-2.40
Si: 0.8103 0.1897 0.6897  4 Si 2.33-2.38
Si: 0.1103 0.2635 0.7863  4 Si 2.37-2.39
Si: 0.8919 0.8076 0.0984  4 Si 2.37-2.40
Si: 0.5842 0.6042 0.9734  4 Si 2.38-2.41
Si: 0.1974 0.7967 0.5268  4 Si 2.37-2.45
Si: 0.5819 0.7625 0.6541  4 Si 2.38-2.40
Si: 0.7365 0.2863 0.3897  4 Si 2.37-2.39
Si: 0.9815 0.4168 0.2684  4 Si 2.37-2.45
Si: 0.2033 0.4732 0.8026  4 Si 2.37-2.45
Si: 0.2863 0.3897 0.7365  4 Si 2.37-2.39
Si: 0.2340 0.2660 0.7340  4 Si 2.33-2.37
Si: 0.3958 0.0266 0.4158  4 Si 2.38-2.41
Si: 0.3941 0.8157 0.0958  4 Si 2.33-2.38
Si: 0.5819 0.7375 0.1541  4 Si 2.38-2.40
Si: 0.4168 0.2684 0.9815  4 Si 2.37-2.45
Si: 0.2967 0.5268 0.3026  4 Si 2.37-2.45
Si: 0.3026 0.2967 0.5268  4 Si 2.37-2.45
Si: 0.4181 0.2375 0.3459  4 Si 2.38-2.40
Si: 0.1063 0.0626 0.5446  4 Si 2.32-2.33
Si: 0.9181 0.2625 0.6541  4 Si 2.38-2.40
Si: 0.0832 0.7684 0.9815  4 Si 2.37-2.45
Si: 0.3157 0.0958 0.1059  4 Si 2.33-2.38
Si: 0.8941 0.8157 0.4042  4 Si 2.33-2.38
Si: 0.1843 0.5958 0.1059  4 Si 2.33-2.38
Si: 0.1843 0.9042 0.6059  4 Si 2.33-2.38
Si: 0.4042 0.8941 0.8157  4 Si 2.33-2.38
Si: 0.8958 0.4734 0.5842  4 Si 2.38-2.41
Si: 0.2033 0.0268 0.3026  4 Si 2.37-2.45
Si: 0.4815 0.0832 0.7316  4 Si 2.37-2.45
Si: 0.0185 0.9168 0.2316  4 Si 2.37-2.45
Si: 0.3076 0.0984 0.6081  4 Si 2.37-2.40
Si: 0.4374 0.0446 0.1063  4 Si 2.32-2.33
Si: 0.7713 0.5132 0.9589  4 Si 2.33-2.37
Si: 0.0185 0.5832 0.7316  4 Si 2.37-2.45
Si: 0.6897 0.8103 0.1897  4 Si 2.33-2.38
Si: 0.9554 0.6063 0.0626  4 Si 2.32-2.33
Si: 0.4374 0.4554 0.6063  4 Si 2.32-2.33
Si: 0.2625 0.6541 0.9181  4 Si 2.38-2.40
Si: 0.9734 0.5842 0.6042  4 Si 2.38-2.41
Si: 0.6059 0.1843 0.9042  4 Si 2.33-2.38
Si: 0.5266 0.0842 0.6042  4 Si 2.38-2.41
Si: 0.7967 0.9732 0.6974  4 Si 2.37-2.45
Si: 0.7033 0.0268 0.1974  4 Si 2.37-2.45
Si: 0.9732 0.8026 0.2967  4 Si 2.37-2.45
Si: 0.3103 0.3103 0.3103  4 Si 2.33-2.38
Si: 0.7684 0.9815 0.0832  4 Si 2.37-2.45
Si: 0.8937 0.9374 0.4554  4 Si 2.32-2.33
Si: 0.4168 0.2316 0.4815  4 Si 2.37-2.45
Si: 0.6974 0.7033 0.4732  4 Si 2.37-2.45
Si: 0.0842 0.6042 0.5266  4 Si 2.38-2.41
Si: 0.8459 0.0819 0.7625  4 Si 2.38-2.40
Si: 0.5446 0.3937 0.5626  4 Si 2.32-2.33
Si: 0.0268 0.3026 0.2033  4 Si 2.37-2.45
Si: 0.6843 0.9042 0.8941  4 Si 2.33-2.38
Si: 0.8958 0.0266 0.0842  4 Si 2.38-2.41
Si: 0.6042 0.5266 0.0842  4 Si 2.38-2.41
Si: 0.3919 0.8076 0.4016  4 Si 2.37-2.40
Si: 0.5185 0.9168 0.2684  4 Si 2.37-2.45
Si: 0.2713 0.9868 0.0411  4 Si 2.33-2.37
Si: 0.9016 0.3919 0.6924  4 Si 2.37-2.40
Si: 0.0132 0.5411 0.2287  4 Si 2.33-2.37
Si: 0.5832 0.7316 0.0185  4 Si 2.37-2.45
Si: 0.9734 0.9158 0.1042  4 Si 2.38-2.41
Si: 0.9158 0.3958 0.4734  4 Si 2.38-2.41
Si: 0.2635 0.7137 0.6103  4 Si 2.37-2.39
Si: 0.4868 0.4589 0.7287  4 Si 2.33-2.37
Si: 0.2635 0.7863 0.1103  4 Si 2.37-2.39
Si: 0.3459 0.0819 0.7375  4 Si 2.38-2.40
Si: 0.7660 0.7660 0.7660  4 Si 2.33-2.37
Si: 0.1063 0.4374 0.0446  4 Si 2.32-2.33
Si: 0.2375 0.1541 0.9181  4 Si 2.38-2.40
Si: 0.9589 0.7287 0.0132  4 Si 2.33-2.37
Si: 0.1059 0.1843 0.5958  4 Si 2.33-2.38
Si: 0.1541 0.5819 0.7375  4 Si 2.38-2.40
Si: 0.0266 0.0842 0.8958  4 Si 2.38-2.41
Si: 0.8157 0.4042 0.8941  4 Si 2.33-2.38
Si: 0.6063 0.0626 0.9554  4 Si 2.32-2.33
Si: 0.4589 0.7713 0.9868  4 Si 2.33-2.37
Si: 0.7660 0.7340 0.2660  4 Si 2.33-2.37
Si: 0.8026 0.2033 0.4732  4 Si 2.37-2.45
Si: 0.7287 0.4868 0.4589  4 Si 2.33-2.37
Si: 0.9374 0.0446 0.3937  4 Si 2.32-2.33
Si: 0.4016 0.1081 0.3076  4 Si 2.37-2.40
Si: 0.0626 0.9554 0.6063  4 Si 2.32-2.33
Si: 0.3937 0.9374 0.0446  4 Si 2.32-2.33
Si: 0.2684 0.5185 0.9168  4 Si 2.37-2.45
Si: 0.5268 0.1974 0.7967  4 Si 2.37-2.45
Si: 0.2137 0.6103 0.2365  4 Si 2.37-2.39
Si: 0.9815 0.0832 0.7684  4 Si 2.37-2.45

## Properties
E_tot = -1230.57 eV for the cell shown
theoretical density = 1.969 g/cm³
energy relative to the elements = 0.12 eV/atom


Cu2Bi8Pb6S19 | PBE-GGA | relaxed

Cell: 13.8735 13.8735 20.7434 Å, 49.76 49.76 17.50°
Closest atoms and distances in Å follow each position.
Fractional coordinates of all 35 atoms:
S: 0.9001 0.9001 0.8853  3 Bi 2.63-2.87
S: 0.5648 0.5648 0.0071  2 Cu 2.28-2.40
S: 0.2602 0.2602 0.0686  3 Bi 2.78-2.85
S: 0.9271 0.9271 0.1610  2 Cu 2.42, 1 Bi 2.66
S: 0.6283 0.6283 0.2735  3 Pb 2.79-2.86, 1 Bi 2.83
S: 0.6741 0.6741 0.6251  4 Bi 2.91-3.06, 1 Pb 3.00
S: 0.3717 0.3717 0.7265  3 Pb 2.79-2.86, 1 Bi 2.83
S: 0.0000 0.0000 0.5000  6 Pb 2.96-3.07
S: 0.9612 0.9612 0.3345  1 Bi 2.61
S: 0.0999 0.0999 0.1147  3 Bi 2.63-2.87
S: 0.7139 0.7139 0.7738  2 Bi 2.69, 1 Pb 2.93
S: 0.0729 0.0729 0.8390  2 Cu 2.42, 1 Bi 2.66
S: 0.6568 0.6568 0.4560  3 Bi 2.80-3.10, 1 Pb 3.08
S: 0.7398 0.7398 0.9314  3 Bi 2.78-2.85
S: 0.3432 0.3432 0.5440  3 Bi 2.80-3.10, 1 Pb 3.08
S: 0.0388 0.0388 0.6655  1 Bi 2.61
S: 0.3259 0.3259 0.3749  4 Bi 2.91-3.06, 1 Pb 3.00
S: 0.2861 0.2861 0.2262  2 Bi 2.69, 1 Pb 2.93
S: 0.4352 0.4352 0.9929  2 Cu 2.28-2.40
Cu: 0.4503 0.4503 0.0890  4 S 2.28-2.42
Cu: 0.5497 0.5497 0.9110  4 S 2.28-2.42
Bi: 0.1631 0.1631 0.5390  5 S 2.61-2.91
Bi: 0.8011 0.8011 0.2925  3 S 2.66-2.69
Bi: 0.3246 0.3246 0.8954  6 S 2.78-2.87
Bi: 0.6754 0.6754 0.1046  6 S 2.78-2.87
Bi: 0.8369 0.8369 0.4610  5 S 2.61-2.91
Bi: 0.1442 0.1442 0.9578  3 S 2.63-2.71
Bi: 0.1989 0.1989 0.7075  3 S 2.66-2.69
Bi: 0.8558 0.8558 0.0422  3 S 2.63-2.71
Pb: 0.4672 0.4672 0.2232  5 S 3.00-3.05, 1 Cu 3.11
Pb: 0.5328 0.5328 0.7768  5 S 3.00-3.05, 1 Cu 3.11
Pb: 0.8551 0.8551 0.6546  4 S 2.79-3.07
Pb: 0.4914 0.4914 0.4075  6 S 2.86-3.08
Pb: 0.1449 0.1449 0.3454  4 S 2.79-3.07
Pb: 0.5086 0.5086 0.5925  6 S 2.86-3.08

## Properties
E_tot = -153.67 eV for the cell shown
theoretical density = 6.674 g/cm³
energy relative to the elements = -0.66 eV/atom


Tl2SiHgSe4 | PBE-GGA | relaxed

Cell: 6.7330 6.7330 6.7330 Å, 105.08 105.08 118.66°
Closest atoms and distances in Å follow each position.
Fractional coordinates of all 8 atoms:
Hg: 0.5000 0.5000 0.0000  4 Se 2.75
Se: 0.9553 0.6363 0.0000  1 Si 2.32
Se: 0.3637 0.3637 0.3189  1 Si 2.32
Se: 0.0447 0.0447 0.6811  1 Si 2.32
Se: 0.6363 0.9553 0.0000  1 Si 2.32
Si: 0.0000 0.0000 0.0000  4 Se 2.32
Tl: 0.0000 0.5000 0.5000  8 Se 3.38-3.69, 2 Tl 3.43
Tl: 0.5000 0.0000 0.5000  8 Se 3.38-3.69, 2 Tl 3.43

## Properties
E_tot = -27.57 eV for the cell shown
theoretical density = 6.871 g/cm³
energy relative to the elements = -0.63 eV/atom


HoPH5CO7 | PBE-GGA | relaxed

Cell: 6.5076 6.9076 7.7575 Å, 111.88 96.34 90.68°
Closest atoms and distances in Å follow each position.
Fractional coordinates of all 30 atoms:
O: 0.4108 0.1986 0.4773  2 H 0.98
O: 0.7865 0.6214 0.7456  2 H 0.99-1.00
O: 0.9471 0.2479 0.6533  1 C 1.27
O: 0.8197 0.4305 0.0245  1 P 1.55
O: 0.1951 0.9433 0.0377  1 P 1.56
O: 0.4664 0.2209 0.8940  1 P 1.53
O: 0.1499 0.9166 0.6580  1 C 1.26
O: 0.5336 0.7791 0.1060  1 P 1.53
O: 0.8501 0.0834 0.3420  1 C 1.26
O: 0.2135 0.3786 0.2544  2 H 0.99-1.00
O: 0.1803 0.5695 0.9755  1 P 1.55
O: 0.8049 0.0567 0.9623  1 P 1.56
O: 0.0529 0.7521 0.3467  1 C 1.27
O: 0.5892 0.8014 0.5227  2 H 0.98
H: 0.6269 0.2942 0.2031  1 P 1.40
H: 0.8374 0.4799 0.6828  1 O 1.00
H: 0.1626 0.5201 0.3172  1 O 1.00
H: 0.5249 0.7409 0.3927  1 O 0.98
H: 0.5163 0.1161 0.4063  1 O 0.98
H: 0.7219 0.6772 0.6526  1 O 0.99
H: 0.4837 0.8839 0.5937  1 O 0.98
H: 0.3731 0.7058 0.7969  1 P 1.40
H: 0.2781 0.3228 0.3474  1 O 0.99
H: 0.4751 0.2591 0.6073  1 O 0.98
C: 0.0584 0.9053 0.5025  2 O 1.26-1.27
C: 0.9416 0.0947 0.4975  2 O 1.26-1.27
Ho: 0.8760 0.7793 0.0663  8 O 2.28-2.48
Ho: 0.1240 0.2207 0.9337  8 O 2.28-2.48
P: 0.6718 0.2514 0.0200  1 H 1.40, 3 O 1.53-1.56
P: 0.3282 0.7486 0.9800  1 H 1.40, 3 O 1.53-1.56

## Properties
E_tot = -192.43 eV for the cell shown
theoretical density = 3.361 g/cm³
energy relative to the elements = -2.01 eV/atom